VASP calculation (GGA+U) on an optimized crystal structure of LiMnP3O9.

The structure in CIF format:
```
data_LiMnP3O9
_chemical_formula_sum 'Li2 Mn2 P6 O18'
_space_group_name_H-M_alt 'P 1'
_space_group_IT_number 1
_cell_length_a 6.483
_cell_length_b 6.483
_cell_length_c 9.845
_cell_angle_alpha 90.00
_cell_angle_beta 90.00
_cell_angle_gamma 120.00
loop_
_space_group_symop_operation_xyz
'x,y,z'
loop_
_atom_site_label
_atom_site_type_symbol
_atom_site_fract_x
_atom_site_fract_y
_atom_site_fract_z
O1 O 0.355 0.295 0.882
Li1 Li 0.000 0.000 0.500
P1 P 0.350 0.410 0.750
O2 O 0.940 0.645 0.882
O3 O 0.355 0.295 0.618
O4 O 0.940 0.645 0.618
O5 O 0.318 0.882 0.750
P2 P 0.350 0.940 0.250
O6 O 0.564 0.882 0.250
O7 O 0.564 0.682 0.750
P3 P 0.060 0.650 0.750
Li2 Li 0.000 0.000 0.000
P4 P 0.060 0.410 0.250
O8 O 0.318 0.436 0.250
P5 P 0.590 0.940 0.750
O9 O 0.705 0.645 0.382
O10 O 0.705 0.645 0.118
P6 P 0.590 0.650 0.250
O11 O 0.940 0.295 0.382
O12 O 0.940 0.295 0.118
O13 O 0.118 0.436 0.750
O14 O 0.355 0.060 0.118
O15 O 0.705 0.060 0.882
O16 O 0.705 0.060 0.618
O17 O 0.118 0.682 0.250
O18 O 0.355 0.060 0.382
Mn1 Mn 0.667 0.333 0.500
Mn2 Mn 0.667 0.333 0.000
```

- crystal system = hexagonal
- final energy (eV per formula unit) = -100.2
- formation enthalpy at 0 K (eV/atom) = -2.59


VASP calculation (GGA+U) on an optimized crystal structure of LiY3WO8.

The structure in CIF format:
```
data_LiY3WO8
_chemical_formula_sum 'Li1 Y3 W1 O8'
_space_group_name_H-M_alt 'P 1'
_space_group_IT_number 1
_cell_length_a 5.969
_cell_length_b 5.945
_cell_length_c 6.187
_cell_angle_alpha 63.20
_cell_angle_beta 90.00
_cell_angle_gamma 90.00
loop_
_space_group_symop_operation_xyz
'x,y,z'
loop_
_atom_site_label
_atom_site_type_symbol
_atom_site_fract_x
_atom_site_fract_y
_atom_site_fract_z
W1 W 0.008 0.500 0.500
O1 O 0.777 0.304 0.438
O2 O 0.777 0.696 0.562
O3 O 0.021 0.344 0.866
Li1 Li 0.254 0.500 0.000
O4 O 0.471 0.779 0.897
O5 O 0.471 0.221 0.103
O6 O 0.229 0.238 0.566
Y1 Y 0.741 0.500 0.000
Y2 Y 0.242 0.000 0.000
O7 O 0.021 0.656 0.134
O8 O 0.229 0.762 0.434
Y3 Y 0.509 0.000 0.500
```

- crystal system = monoclinic
- final energy (eV per formula unit) = -106.1
- formation enthalpy at 0 K (eV/atom) = -3.25
- maximum piezoelectric response (C/m2) = 0.3


VASP calculation (GGA+U) on an optimized crystal structure of Li2MnF5.

The structure in CIF format:
```
data_Li2MnF5
_chemical_formula_sum 'Li8 Mn4 F20'
_space_group_name_H-M_alt 'P 1'
_space_group_IT_number 1
_cell_length_a 5.136
_cell_length_b 7.416
_cell_length_c 9.929
_cell_angle_alpha 70.28
_cell_angle_beta 90.00
_cell_angle_gamma 90.00
loop_
_space_group_symop_operation_xyz
'x,y,z'
loop_
_atom_site_label
_atom_site_type_symbol
_atom_site_fract_x
_atom_site_fract_y
_atom_site_fract_z
F1 F 0.421 0.082 0.308
Li1 Li 0.698 0.623 0.481
F2 F 0.409 0.461 0.143
Mn1 Mn 0.745 0.286 0.857
F3 F 0.427 0.259 0.756
Li2 Li 0.255 0.528 0.745
F4 F 0.927 0.241 0.244
F5 F 0.579 0.918 0.692
Mn2 Mn 0.245 0.214 0.143
F6 F 0.591 0.539 0.857
F7 F 0.073 0.759 0.756
Li3 Li 0.198 0.877 0.519
Li4 Li 0.802 0.123 0.481
Mn3 Mn 0.255 0.714 0.143
F8 F 0.091 0.961 0.143
F9 F 0.079 0.582 0.308
F10 F 0.357 0.629 0.553
F11 F 0.909 0.039 0.857
F12 F 0.924 0.667 0.035
Li5 Li 0.755 0.972 0.255
Li6 Li 0.245 0.028 0.745
Li7 Li 0.745 0.472 0.255
F13 F 0.143 0.129 0.553
Mn4 Mn 0.755 0.786 0.857
Li8 Li 0.302 0.377 0.519
F14 F 0.576 0.167 0.035
F15 F 0.424 0.833 0.965
F16 F 0.643 0.371 0.447
F17 F 0.573 0.741 0.244
F18 F 0.857 0.871 0.447
F19 F 0.076 0.333 0.965
F20 F 0.921 0.418 0.692
```

- crystal system = monoclinic
- final energy (eV per formula unit) = -42.1
- formation enthalpy at 0 K (eV/atom) = -2.94


VASP calculation (GGA+U) on an optimized crystal structure of CrO.

The structure in CIF format:
```
data_CrO
_chemical_formula_sum 'Cr4 O4'
_space_group_name_H-M_alt 'P 1'
_space_group_IT_number 1
_cell_length_a 4.110
_cell_length_b 5.450
_cell_length_c 4.468
_cell_angle_alpha 90.00
_cell_angle_beta 90.00
_cell_angle_gamma 91.54
loop_
_space_group_symop_operation_xyz
'x,y,z'
loop_
_atom_site_label
_atom_site_type_symbol
_atom_site_fract_x
_atom_site_fract_y
_atom_site_fract_z
Cr1 Cr 0.400 0.900 0.500
O1 O 0.150 0.150 0.743
Cr2 Cr 0.900 0.900 0.000
O2 O 0.650 0.650 0.257
O3 O 0.650 0.150 0.243
Cr3 Cr 0.900 0.400 0.500
O4 O 0.150 0.650 0.757
Cr4 Cr 0.400 0.400 0.000
```

- final energy (eV per formula unit) = -15.8
- formation enthalpy at 0 K (eV/atom) = -1.97


VASP calculation (GGA+U) on an optimized crystal structure of Ca8Ti3Mn5O23.

The structure in CIF format:
```
data_Ca8Ti3Mn5O23
_chemical_formula_sum 'Ca8 Ti3 Mn5 O23'
_space_group_name_H-M_alt 'P 1'
_space_group_IT_number 1
_cell_length_a 7.715
_cell_length_b 7.698
_cell_length_c 7.716
_cell_angle_alpha 90.00
_cell_angle_beta 90.00
_cell_angle_gamma 90.00
loop_
_space_group_symop_operation_xyz
'x,y,z'
loop_
_atom_site_label
_atom_site_type_symbol
_atom_site_fract_x
_atom_site_fract_y
_atom_site_fract_z
O1 O 0.749 0.500 0.995
O2 O 0.245 0.000 0.475
O3 O 0.251 0.500 0.995
O4 O 0.500 0.252 0.995
Ti1 Ti 0.000 0.000 0.987
O5 O 0.250 0.500 0.504
O6 O 0.500 0.748 0.995
Ti2 Ti 0.500 0.000 0.007
O7 O 0.000 0.755 0.474
Mn1 Mn 0.000 0.500 0.495
O8 O 0.500 0.000 0.253
Mn2 Mn 0.000 0.500 0.004
O9 O 0.500 0.500 0.750
O10 O 0.242 0.000 0.035
O11 O 0.000 0.500 0.250
Ti3 Ti 0.000 0.000 0.513
O12 O 0.000 0.754 0.022
Ca1 Ca 0.740 0.267 0.252
Ca2 Ca 0.260 0.733 0.252
O13 O 0.500 0.750 0.504
O14 O 0.000 0.246 0.022
O15 O 0.758 0.000 0.035
O16 O 0.000 0.500 0.749
O17 O 0.500 0.250 0.504
O18 O 0.755 0.000 0.475
Ca3 Ca 0.260 0.267 0.252
Mn3 Mn 0.500 0.500 0.497
O19 O 0.000 0.000 0.750
Ca4 Ca 0.740 0.733 0.252
Ca5 Ca 0.268 0.277 0.746
Mn4 Mn 0.500 0.000 0.496
Ca6 Ca 0.732 0.277 0.746
Ca7 Ca 0.732 0.723 0.746
O20 O 0.000 0.245 0.474
Ca8 Ca 0.268 0.723 0.746
O21 O 0.500 0.000 0.750
O22 O 0.750 0.500 0.504
O23 O 0.500 0.500 0.249
Mn5 Mn 0.500 0.500 0.001
```

- crystal system = orthorhombic
- final energy (eV per formula unit) = -286.7
- formation enthalpy at 0 K (eV/atom) = -2.86


VASP calculation (GGA+U) on an optimized crystal structure of Li2Mn2FeO6.

The structure in CIF format:
```
data_Li2Mn2FeO6
_chemical_formula_sum 'Li4 Mn4 Fe2 O12'
_space_group_name_H-M_alt 'P 1'
_space_group_IT_number 1
_cell_length_a 5.122
_cell_length_b 5.122
_cell_length_c 10.273
_cell_angle_alpha 90.01
_cell_angle_beta 90.01
_cell_angle_gamma 118.80
loop_
_space_group_symop_operation_xyz
'x,y,z'
loop_
_atom_site_label
_atom_site_type_symbol
_atom_site_fract_x
_atom_site_fract_y
_atom_site_fract_z
Li1 Li 0.860 0.361 0.250
Mn1 Mn 0.340 0.660 0.000
Fe1 Fe 0.501 0.499 0.500
O1 O 0.004 0.652 0.102
Li2 Li 0.128 0.630 0.750
Mn2 Mn 0.833 0.167 0.500
Li3 Li 0.639 0.140 0.750
O2 O 0.816 0.460 0.611
O3 O 0.345 0.335 0.096
O4 O 0.836 0.845 0.403
O5 O 0.685 0.040 0.111
Fe2 Fe 0.998 0.002 0.000
Mn3 Mn 0.159 0.841 0.500
O6 O 0.960 0.315 0.889
O7 O 0.497 0.847 0.601
O8 O 0.153 0.503 0.399
Mn4 Mn 0.667 0.333 0.000
O9 O 0.155 0.164 0.597
Li4 Li 0.370 0.872 0.250
O10 O 0.348 0.996 0.898
O11 O 0.540 0.184 0.389
O12 O 0.665 0.655 0.904
```

- crystal system = monoclinic
- final energy (eV per formula unit) = -72.0
- formation enthalpy at 0 K (eV/atom) = -1.95